Compound: Na4Cr2AsC4O16
Source: the Materials Project database
Functional: PBE with a Hubbard U
Structure: optimized geometry

Output
**Calculated volume**: 12.816 A^3/atom
**Size of the total moment**: 0.222 μB per atom
**E_form**: -1.921 eV per atom

```
data_Na4Cr2AsC4O16
_chemical_formula_sum 'Na32 Cr16 As8 C32 O128'
_cell_length_a 13.828
_cell_length_b 13.956
_cell_length_c 14.345
_cell_angle_alpha 90.00
_cell_angle_beta 90.00
_cell_angle_gamma 90.00
_symmetry_space_group_name_H-M 'F d d d'
_symmetry_Int_Tables_number 70
loop_
_symmetry_equiv_pos_as_xyz
'x,y,z'
'-x,-y,-z'
'-x+1/4,-y+1/4,z'
'x+1/4,y+1/4,-z'
'x,-y+1/4,-z+1/4'
'-x,y+1/4,z+1/4'
'-x+1/4,y,-z+1/4'
'x+1/4,-y,z+1/4'
'x,y+1/2,z+1/2'
'-x,-y+1/2,-z+1/2'
'-x+1/4,-y+3/4,z+1/2'
'x+1/4,y+3/4,-z+1/2'
'x,-y+3/4,-z+3/4'
'-x,y+3/4,z+3/4'
'-x+1/4,y+1/2,-z+3/4'
'x+1/4,-y+1/2,z+3/4'
'x+1/2,y,z+1/2'
'-x+1/2,-y,-z+1/2'
'-x+3/4,-y+1/4,z+1/2'
'x+3/4,y+1/4,-z+1/2'
'x+1/2,-y+1/4,-z+3/4'
'-x+1/2,y+1/4,z+3/4'
'-x+3/4,y,-z+3/4'
'x+3/4,-y,z+3/4'
'x+1/2,y+1/2,z'
'-x+1/2,-y+1/2,-z'
'-x+3/4,-y+3/4,z'
'x+3/4,y+3/4,-z'
'x+1/2,-y+3/4,-z+1/4'
'-x+1/2,y+3/4,z+1/4'
'-x+3/4,y+1/2,-z+1/4'
'x+3/4,-y+1/2,z+1/4'
loop_
_atom_site_label
_atom_site_type_symbol
_atom_site_fract_x
_atom_site_fract_y
_atom_site_fract_z
Na1 Na 0.088 0.375 0.375
Na2 Na 0.125 0.339 0.125
Cr1 Cr 0.000 0.000 0.500
As1 As 0.125 0.125 0.125
C1 C 0.036 0.038 0.709
O1 O 0.019 0.107 0.767
O2 O 0.020 0.275 0.888
O3 O 0.051 0.051 0.060
O4 O 0.107 0.272 0.525
```